<i>
Below is Li2FeCSO7 after structural relaxation, with properties calculated at the GGA+U level. Values from VASP.

Geometry as Quantum ESPRESSO input:
```
&SYSTEM
  ibrav = 0, nat = 24, ntyp = 5
/
ATOMIC_SPECIES
O 16.00 O.upf
C 12.01 C.upf
S 32.06 S.upf
Li 6.94 Li.upf
Fe 55.84 Fe.upf
ATOMIC_POSITIONS angstrom
O 0.2484 0.7283 6.9423
O 0.2513 -1.3635 1.8558
O 3.6175 -1.4224 3.4160
O 2.1042 -2.5697 4.8359
O 3.1284 1.5490 7.2757
O 1.7037 -0.2049 4.3399
O 2.1013 -0.4779 9.9224
O 3.5470 -0.8349 5.7955
O -1.2649 -0.4189 8.3621
O -1.1944 -1.0065 5.9826
O 0.6489 -1.6365 7.4382
O 0.7207 -5.0252 4.7765
O 1.6319 3.1838 7.0016
O -0.7758 -3.3903 4.5025
C 2.6458 2.7028 7.6935
C -0.2932 -4.5441 4.0846
S 2.7432 -1.2507 4.6028
S -0.3906 -0.5907 7.1753
Li -2.6439 -2.9411 5.3375
Li 3.1139 -0.3276 8.2070
Li -0.7613 -1.5138 3.5711
Li 4.9966 1.0997 6.4406
Fe 0.7148 -3.3383 6.1333
Fe 1.6378 1.4969 5.6448
CELL_PARAMETERS angstrom
-4.1116 -3.1170 3.8576
3.5904 -3.4079 1.0732
2.8737 4.6836 6.8474
```


<ii>
Below is Li2FeCSO7 after structural relaxation, with properties calculated at the GGA+U level. Values from VASP.

Geometry as Quantum ESPRESSO input:
```
&SYSTEM
  ibrav = 0, nat = 48, ntyp = 5
/
ATOMIC_SPECIES
O 16.00 O.upf
C 12.01 C.upf
Li 6.94 Li.upf
Fe 55.84 Fe.upf
S 32.06 S.upf
ATOMIC_POSITIONS angstrom
O -0.3426 -2.2922 5.9734
O 1.4998 -1.2793 3.0029
O 2.0060 -4.2455 6.0102
O 2.5890 -6.0163 1.6461
O -4.8505 -4.4225 3.2980
O -0.3585 -6.9974 -0.2205
O -1.4108 -0.2639 6.8171
O -6.3915 -0.9716 4.4350
O -3.4955 -4.6996 6.0184
O -1.6690 -3.7033 3.0372
O -0.3097 -2.2877 0.0588
O -3.9966 -1.7340 3.0064
O 0.6834 -4.1723 3.5011
O -2.2054 -0.4529 1.9231
O 4.4048 -5.0098 4.5788
O -2.6894 -1.7976 5.5143
O -5.0705 -3.1466 5.7210
O -1.6274 1.0168 9.2321
O -4.5816 0.0377 7.3794
O -1.6794 -3.6934 8.9514
O -0.5788 -5.7226 2.2028
O -1.0973 -5.4651 4.5874
O 2.8573 -1.5572 5.7186
O 1.7842 0.4701 6.5580
O 3.0726 -2.8342 3.3023
O 0.2246 -5.5375 7.0957
O -3.7609 -6.4420 2.4628
O -0.8969 -0.5183 4.4313
C -1.1693 0.0251 9.9560
C 2.6149 -1.8421 2.5789
C -4.6101 -4.1374 6.4454
C -0.8182 -6.0061 -0.9448
Li -1.8119 -4.8631 7.3261
Li -0.1697 -1.1151 1.6797
Li -2.8876 1.0847 7.6259
Li 2.7219 -4.8454 3.2701
Li -6.3223 -3.0806 4.1052
Li -4.7219 -1.1344 5.7576
Li 0.8942 -7.0632 1.3963
Li 4.3342 -2.9015 4.9082
Fe 0.0936 0.8042 7.8034
Fe 1.3513 -2.6207 4.7322
Fe -3.3511 -3.3574 4.2897
Fe -2.0801 -6.7876 1.2104
S 2.7672 -0.6097 6.8708
S -1.3237 -1.2096 5.6635
S -0.6768 -4.7734 3.3530
S -4.7523 -5.3712 2.1474
CELL_PARAMETERS angstrom
-0.5350 -7.8926 -1.9383
6.3373 0.4338 5.0969
-7.7943 1.4779 5.8588
```


Ordering by calculated energy gives the sequence <ii>, <i>, with the first entry being the most stable.


<i>
Below is Mg14FeCO16 after structural relaxation, with properties calculated at the GGA+U level. Values from VASP.

Geometry as Quantum ESPRESSO input:
```
&SYSTEM
  ibrav = 0, nat = 32, ntyp = 4
/
ATOMIC_SPECIES
O 16.00 O.upf
Mg 24.30 Mg.upf
C 12.01 C.upf
Fe 55.84 Fe.upf
ATOMIC_POSITIONS angstrom
O 6.3993 2.1327 2.1274
O 2.1049 4.2660 0.0000
O 2.1501 0.0000 0.0000
O 6.3993 6.3993 2.1274
O 0.0000 6.3819 0.0000
O 4.2660 6.4272 0.0000
O 0.0000 0.0000 2.1274
O 4.2660 4.2660 2.1274
O 4.2660 2.1049 0.0000
O 0.0000 4.2660 2.1274
O 2.1327 2.1327 2.1274
O 2.1327 6.3993 2.1274
O 0.0000 2.1501 0.0000
O 6.4272 4.2660 0.0000
O 4.2660 0.0000 2.1274
O 6.3819 0.0000 0.0000
Mg 4.2660 0.0000 0.0000
Mg 6.3708 2.1613 0.0000
Mg 0.0000 2.1441 2.1274
Mg 2.1613 2.1613 0.0000
Mg 6.3641 4.2660 2.1274
Mg 0.0000 6.3879 2.1274
Mg 4.2660 2.1680 2.1274
Mg 2.1613 6.3708 0.0000
Mg 4.2660 6.3641 2.1274
Mg 6.3879 0.0000 2.1274
Mg 6.3708 6.3708 0.0000
Mg 2.1441 0.0000 2.1274
Mg 2.1680 4.2660 2.1274
Mg 0.0000 4.2660 0.0000
C 4.2660 4.2660 0.0000
Fe 0.0000 0.0000 0.0000
CELL_PARAMETERS angstrom
8.5321 0.0000 0.0000
0.0000 8.5321 0.0000
0.0000 0.0000 4.2548
```


<ii>
Below is Mg14FeCO16 after structural relaxation, with properties calculated at the GGA+U level. Values from VASP.

Geometry as Quantum ESPRESSO input:
```
&SYSTEM
  ibrav = 0, nat = 32, ntyp = 4
/
ATOMIC_SPECIES
Mg 24.30 Mg.upf
O 16.00 O.upf
C 12.01 C.upf
Fe 55.84 Fe.upf
ATOMIC_POSITIONS angstrom
Mg -6.0058 -3.8982 5.4982
Mg -0.5934 1.2061 2.6902
Mg 0.4733 -5.2389 4.1303
Mg -2.4550 -5.1822 3.4626
Mg -3.5337 1.2778 2.0258
Mg -4.6221 -1.3944 6.3736
Mg -1.0390 -2.6901 4.3194
Mg 0.9329 -1.4012 2.5111
Mg -4.1364 2.4873 4.7214
Mg -5.5437 -0.0398 3.8704
Mg -2.5980 -0.1003 4.5272
Mg -1.9930 -1.3238 1.8348
Mg -3.0631 -3.9841 6.1658
Mg -3.9994 -2.6110 3.6665
O -0.6991 -5.8380 2.4630
O -1.2831 -4.6219 5.1433
O -5.2578 1.9013 3.0142
O -1.8096 0.6544 1.0374
O -2.2360 -3.2487 2.6556
O -4.3781 0.5375 5.5497
O -2.3649 1.8467 3.7058
O 0.7031 -3.3200 3.3207
O -0.2323 -1.9398 0.8184
O -2.8306 -2.0422 5.3465
O -4.8418 -3.3350 7.1835
O 1.1688 0.5688 1.6800
O -5.7627 -1.9734 4.6774
O -0.8193 -0.7494 3.5095
O -3.7683 -0.6816 2.8525
O -4.2304 -4.5404 4.4805
C -0.4657 -3.8889 1.6407
Fe 0.0000 0.0000 0.0000
CELL_PARAMETERS angstrom
-7.0674 2.5557 4.0516
-0.9314 -7.7777 3.2814
2.3376 1.1376 3.3600
```


Ordering by calculated energy gives the sequence <ii>, <i>, with the first entry being the most stable.


<i>
Below is Na5Fe2P2C2O14 after structural relaxation, with properties calculated at the GGA+U level. Values from VASP.

Geometry as Quantum ESPRESSO input:
```
&SYSTEM
  ibrav = 0, nat = 50, ntyp = 5
/
ATOMIC_SPECIES
O 16.00 O.upf
C 12.01 C.upf
Fe 55.84 Fe.upf
P 30.97 P.upf
Na 22.99 Na.upf
ATOMIC_POSITIONS angstrom
O -5.0386 -15.3235 6.7817
O -3.1607 -14.6724 2.1468
O -3.8775 -10.3286 7.8675
O -2.3930 -10.8557 5.9324
O -0.8071 -8.4951 8.1095
O -1.0629 -0.8560 1.5827
O -2.1063 -9.8714 3.3368
O -2.1908 -5.8675 0.4447
O -4.8843 -8.3648 4.8028
O -2.1791 -3.8929 5.9307
O -4.0072 -12.2563 2.5447
O -3.8136 -2.9849 4.2360
O -4.7640 -11.7635 5.9154
O -1.4548 -2.0394 4.2716
O -1.0392 -7.8786 3.3285
O -5.7893 -6.5831 3.7524
O -0.2522 -9.6180 4.5334
O -5.2614 -7.6963 0.2117
O -3.1047 -12.7445 7.5220
O -3.0450 -1.4558 6.0689
O -4.4918 -14.2096 4.1750
O -4.5726 -9.4919 1.3854
O -4.0734 -6.2802 5.1299
O -3.6660 -5.3344 2.3852
O -2.1902 -13.2296 4.0004
O -1.2434 -4.4497 2.3258
O -1.6401 -6.6479 7.1247
O -2.9682 -3.4453 0.8049
C -0.7477 -7.2206 7.8744
C -4.9152 -7.1213 4.5756
C -5.3836 -8.9483 0.5290
C -1.1341 -9.0770 3.7204
Fe -4.7762 -4.6560 3.9971
Fe -0.0927 -2.7430 2.7503
Fe -1.2636 -11.5457 4.2865
Fe -5.9264 -13.4661 5.5061
P -2.4957 -4.7618 1.5148
P -3.5176 -13.5605 3.1629
P -3.5671 -11.4317 6.7989
P -2.5651 -2.6257 5.1769
Na -3.0397 -8.3957 6.3885
Na -3.0391 -7.7920 1.9462
Na -2.8539 -14.6004 6.0683
Na -5.1763 -0.8883 4.8216
Na -4.4969 -10.4311 3.8580
Na -3.2374 -1.5906 2.2430
Na 0.2369 -6.4081 2.0950
Na -0.8765 -15.3009 3.5187
Na -7.1855 -8.5189 3.3315
Na 1.0373 -7.6439 5.0940
CELL_PARAMETERS angstrom
-3.9405 1.4115 5.1600
-5.2487 -8.8249 -1.5943
3.1075 -8.7732 4.7729
```


<ii>
! Na5Fe2P2C2O14 GGA+U relaxed; values from VASP
! piezoelectric modulus e_max = 0.17 C/m²
&SYSTEM
  ibrav = 0, nat = 50, ntyp = 5
/
ATOMIC_SPECIES
O 16.00 O.upf
Na 22.99 Na.upf
P 30.97 P.upf
Fe 55.84 Fe.upf
C 12.01 C.upf
ATOMIC_POSITIONS angstrom
O -2.9006 1.0930 3.7362
O 5.2378 4.5169 8.3065
O -1.2595 0.2160 8.3065
O 3.8902 0.9258 4.9838
O 1.3580 2.7437 11.6289
O 3.0560 4.1210 9.5660
O 6.1302 1.1371 6.2315
O -1.5334 2.3984 8.3064
O -5.9751 4.0771 7.0471
O -2.9000 1.0913 6.2308
O 3.0563 4.1209 7.0469
O -2.9001 1.0909 10.3819
O 0.5816 1.5475 8.3065
O -1.2599 0.2197 1.6613
O 1.1872 4.9820 4.9837
O -3.7919 4.4701 8.3062
O 0.5815 1.5482 1.6613
O -3.8574 3.0902 4.9844
O 3.0557 4.1220 2.9208
O -5.1407 0.8816 4.9837
O -0.6763 3.7088 4.9838
O -4.8464 2.1761 8.3063
O 1.3578 2.7439 4.9838
O 4.1845 2.2207 8.3065
O -0.6761 3.7086 11.6290
O 5.1736 3.1344 4.9838
O -1.5337 2.4043 1.6612
O 1.1874 4.9818 11.6288
Na -2.2191 3.9289 9.9887
Na 2.2411 1.2877 9.9334
Na 2.2406 1.2864 3.2882
Na -2.2195 3.9294 3.3433
Na -0.6873 1.2386 4.9834
Na 2.2409 1.2874 6.6795
Na 6.8115 3.9734 6.6244
Na -0.6871 1.2384 11.6295
Na -6.7902 1.2416 6.6792
Na -2.2191 3.9290 6.6240
P -5.1759 3.7265 8.3065
P -3.7511 1.5404 4.9838
P 5.2797 1.5846 4.9838
P 3.8555 3.7713 8.3066
Fe -5.7766 4.0618 4.9836
Fe 5.8553 1.1593 8.3066
Fe -3.1758 1.1122 8.3065
Fe 3.2542 4.1064 4.9845
C 0.6131 3.8114 4.9838
C -0.6659 1.3893 8.3064
C 0.6133 3.8112 11.6291
C -0.6664 1.3930 1.6612
CELL_PARAMETERS angstrom
0.0504 5.2431 -0.0002
-9.0307 -0.0444 6.6450
9.0310 0.0440 6.6454


<iii>
Below is Na5Fe2P2C2O14 after structural relaxation, with properties calculated at the GGA+U level. Values from VASP.

Geometry as Quantum ESPRESSO input:
```
&SYSTEM
  ibrav = 0, nat = 50, ntyp = 5
/
ATOMIC_SPECIES
O 16.00 O.upf
P 30.97 P.upf
Na 22.99 Na.upf
C 12.01 C.upf
Fe 55.84 Fe.upf
ATOMIC_POSITIONS angstrom
O 3.6666 -4.8980 6.7219
O 8.2527 2.3443 8.1020
O 4.4275 -1.7141 8.0455
O 5.5019 1.2833 9.7580
O 6.7128 0.1364 3.8692
O 7.5407 -5.8107 7.2304
O 7.5616 -0.8450 6.7533
O 8.7880 -3.8956 10.7109
O 4.9187 -1.6701 5.5067
O 7.2121 -0.9361 9.2654
O 2.5845 -1.4534 6.3203
O 6.5584 -1.8675 13.7333
O 2.6119 -1.7253 2.7244
O 5.4708 -2.7105 10.8598
O 6.1884 -4.9001 9.6854
O 9.5446 -0.8467 12.0144
O 6.1740 -2.7344 3.1179
O 3.8256 -4.6364 10.4504
O 5.9265 0.1667 11.6409
O 3.2751 1.3308 4.0614
O 5.6095 -0.7054 1.0014
O 4.7866 3.2254 7.4471
O 4.2808 0.4476 6.7794
O 6.8890 -3.8735 4.8966
O 7.9560 -3.0258 7.9305
O 5.9798 2.2462 5.1321
O 9.5360 -1.0796 8.4073
O 8.3012 2.1477 4.2160
P 4.0589 -1.0778 6.6723
P 5.2955 -4.2454 10.7823
P 8.0624 -1.4915 8.0790
P 6.8373 1.6752 3.9649
Na 1.5166 -0.4354 4.3060
Na 6.3972 1.1894 7.4776
Na 10.1504 -2.3138 14.0064
Na 4.6185 -0.6678 3.1976
Na 7.5332 -1.8964 11.5477
Na 10.6310 -2.1434 10.4311
Na 8.9370 0.8211 9.8059
Na 2.0138 -0.2588 0.7295
Na 3.3182 -3.4008 4.8974
Na 2.8043 -3.5329 8.3217
C 6.3651 -3.8865 3.7045
C 6.9896 -1.8486 14.9741
C 5.8582 1.3093 11.0103
C 5.1510 -0.7221 -0.2296
Fe 3.9511 2.1526 5.8212
Fe 5.1446 -0.9072 9.7222
Fe 8.0783 -4.7148 8.9632
Fe 6.9378 -1.6591 5.0431
CELL_PARAMETERS angstrom
3.5089 4.1427 8.8843
2.4210 -6.2332 8.0891
6.2226 -0.4812 -2.2332
```


Ordering by calculated energy gives the sequence <ii>, <i>, <iii>, with the first entry being the most stable.


<i>
Below is Na5Fe2P2C2O14 after structural relaxation, with properties calculated at the GGA+U level. Values from VASP.

Geometry as Quantum ESPRESSO input:
```
&SYSTEM
  ibrav = 0, nat = 50, ntyp = 5
/
ATOMIC_SPECIES
O 16.00 O.upf
Na 22.99 Na.upf
Fe 55.84 Fe.upf
P 30.97 P.upf
C 12.01 C.upf
ATOMIC_POSITIONS angstrom
O -5.5946 -3.2052 2.0192
O -1.3597 -4.9756 0.2151
O -3.8241 -5.4475 10.9210
O -2.1596 -6.6330 16.3258
O -7.8595 -3.3488 7.3331
O -0.8503 -2.9169 0.8442
O -7.4043 -1.2645 12.4242
O -4.3523 -2.3346 9.1877
O -6.2602 -4.8762 10.8233
O -4.6375 -4.2819 4.1316
O -2.5580 -3.5119 14.5785
O -4.4500 -2.4100 16.4660
O -3.7868 -0.8130 7.6205
O -1.7287 -5.3551 13.0237
O -5.2791 -5.8846 12.9777
O -5.8926 -0.8549 5.6405
O -3.5198 -0.7825 0.3461
O -3.1937 -3.9165 2.0333
O -7.4578 -2.0631 4.0303
O -0.4815 -1.3273 3.7234
O -3.9021 -1.9577 3.4668
O -8.2975 -4.9088 8.9155
O -7.7471 -2.8609 9.5456
O -4.3246 -2.9132 7.0110
O -6.5722 -2.4803 14.5253
O -4.9971 -4.5077 15.8563
O -4.7374 -3.5090 12.3084
O -1.8963 -1.9473 5.7725
Na -3.7054 -6.1089 14.6481
Na -6.8400 -5.2688 14.5580
Na -2.1957 -1.2027 2.0844
Na -4.7662 -4.7735 8.8153
Na -7.8255 -2.6364 16.6562
Na -0.9783 -2.6792 7.9537
Na -4.3524 -3.1104 -0.0361
Na -6.1862 -3.6782 5.7298
Na -3.0464 -4.5019 5.7848
Na -5.7844 -2.0240 10.8623
Fe -7.5316 -2.8181 2.1609
Fe -1.9578 -6.0689 11.1508
Fe -4.5299 -2.9074 14.2815
Fe -3.8694 -1.3098 5.4358
P -5.0213 -4.9284 11.7934
P -1.3799 -3.9683 13.6862
P -4.3364 -3.3372 2.9483
P -7.1024 -0.6781 4.6929
C -4.7402 -3.6454 16.8142
C -4.1618 -2.0259 7.9666
C -7.9544 -3.6959 8.5726
C -1.0419 -3.7560 -0.1284
CELL_PARAMETERS angstrom
-6.3734 1.6900 -0.1474
-1.3050 -5.0045 -0.9536
-1.2608 -3.2113 17.6927
```


<ii>
Below is Na5Fe2P2C2O14 after structural relaxation, with properties calculated at the GGA+U level. Values from VASP.

Geometry as Quantum ESPRESSO input:
```
&SYSTEM
  ibrav = 0, nat = 50, ntyp = 5
/
ATOMIC_SPECIES
C 12.01 C.upf
O 16.00 O.upf
Na 22.99 Na.upf
Fe 55.84 Fe.upf
P 30.97 P.upf
ATOMIC_POSITIONS angstrom
C -5.6475 -0.4269 2.7918
C -6.1095 -2.5653 -5.7651
C -7.9455 -6.6842 -3.0535
C -7.5439 -4.5034 5.5258
O -7.1239 -6.5248 3.0135
O -11.3363 -6.6261 -0.8178
O -7.9225 -7.2465 -1.8627
O -5.2086 -2.3639 0.4943
O -7.4553 -8.1708 1.0659
O -5.3464 -1.5052 -5.8957
O -2.2592 -0.4832 0.5570
O -6.4342 -1.4586 2.9317
O -4.0339 -4.6638 3.2899
O -3.3130 -3.8658 -0.2026
O -7.2995 -5.5537 -3.1412
O -6.1291 1.0538 -1.3308
O -6.1882 -3.1510 -4.6172
O -5.5583 -4.0029 -1.4473
O -7.4208 -1.0601 -0.9668
O -6.4483 -0.6335 -3.2646
O -10.3588 -3.3618 -0.0245
O -7.5794 -3.8376 4.4202
O -8.2239 -5.6217 5.6255
O -8.3177 -4.6221 -0.7862
O -4.0699 -1.9767 -1.7202
O -9.3826 -2.5711 -3.6170
O -8.1441 -3.0314 1.2261
O -5.1955 -7.8451 2.2807
O -8.3568 0.7382 -2.5758
O -5.6995 0.1558 1.6117
O -6.0942 -6.1056 0.6762
O -9.4264 -5.2022 1.4226
Na -3.1404 -2.4533 1.9225
Na -10.4611 -4.6518 -2.1810
Na -7.4289 -3.0384 -2.5451
Na -3.6748 -5.8192 1.3611
Na -5.1423 -6.4957 4.3587
Na -11.9112 -5.4534 1.0538
Na -9.3484 -7.2771 0.1076
Na -4.2508 0.1448 -0.3637
Na -1.6674 -1.6421 -1.3242
Na -8.5431 -0.5505 -4.5861
Fe -6.5048 -5.7071 -1.1915
Fe -8.8813 -5.4238 3.4329
Fe -7.0080 -1.4601 0.9001
Fe -4.6693 -1.7170 -3.7104
P -4.5445 -3.0693 -0.7327
P -9.0425 -4.0460 0.4688
P -7.0830 0.0597 -2.0268
P -6.4997 -7.1779 1.7612
CELL_PARAMETERS angstrom
-5.2259 3.6665 1.9362
-4.5026 -2.5392 -7.3443
-3.8699 -8.2345 5.1484
```


Ordering by calculated energy gives the sequence <ii>, <i>, with the first entry being the most stable.